Entry 1:
Computed, not measured: RbH12AuC4S4O12 after structural relaxation at the GGA-PBE level of DFT.

Unit cell a=9.7927 b=9.7927 c=9.4965 alpha=90.00 beta=90.00 gamma=90.00
Fractional coordinates of all 68 atoms:
H (0.1346, 0.4212, 0.0453)
H (0.4181, 0.8488, 0.7667)
H (0.5788, 0.1346, 0.9547)
H (0.0040, 0.3402, 0.1510)
H (0.1512, 0.4181, 0.2333)
H (0.8402, 0.5040, 0.6510)
H (0.6598, 0.0040, 0.8490)
H (0.6512, 0.0819, 0.2667)
H (0.3488, 0.9181, 0.2667)
H (0.4212, 0.8654, 0.9547)
H (0.9181, 0.6512, 0.7333)
H (0.3402, 0.9960, 0.8490)
H (0.8654, 0.5788, 0.0453)
H (0.9960, 0.6598, 0.1510)
H (0.0819, 0.3488, 0.7333)
H (0.9212, 0.6346, 0.5453)
H (0.3654, 0.9212, 0.4547)
H (0.4960, 0.8402, 0.3490)
H (0.6346, 0.0788, 0.4547)
H (0.5040, 0.1598, 0.3490)
H (0.0788, 0.3654, 0.5453)
H (0.1598, 0.4960, 0.6510)
H (0.5819, 0.1512, 0.7667)
H (0.8488, 0.5819, 0.2333)
S (0.2045, 0.2064, 0.1327)
S (0.7045, 0.2936, 0.3673)
S (0.7955, 0.7936, 0.1327)
S (0.2955, 0.7064, 0.3673)
S (0.7064, 0.7045, 0.6327)
S (0.2936, 0.2955, 0.6327)
S (0.7936, 0.2045, 0.8673)
S (0.2064, 0.7955, 0.8673)
C (0.3627, 0.8868, 0.8589)
C (0.1373, 0.3868, 0.6411)
C (0.6132, 0.1373, 0.3589)
C (0.6373, 0.1132, 0.8589)
C (0.8627, 0.6132, 0.6411)
C (0.3868, 0.8627, 0.3589)
C (0.8868, 0.6373, 0.1411)
C (0.1132, 0.3627, 0.1411)
O (0.3484, 0.2378, 0.1134)
O (0.8336, 0.8780, 0.2519)
O (0.1566, 0.1383, 0.9919)
O (0.8780, 0.1664, 0.7481)
O (0.6220, 0.6664, 0.7519)
O (0.2622, 0.1516, 0.6134)
O (0.8434, 0.8617, 0.9919)
O (0.1664, 0.1220, 0.2519)
O (0.2378, 0.6516, 0.8866)
O (0.8617, 0.1566, 0.0081)
O (0.1220, 0.8336, 0.7481)
O (0.7378, 0.8484, 0.6134)
O (0.6516, 0.7622, 0.1134)
O (0.7622, 0.3484, 0.8866)
O (0.1516, 0.7378, 0.3866)
O (0.6383, 0.6566, 0.4919)
O (0.6566, 0.3617, 0.5081)
O (0.3336, 0.6220, 0.2481)
O (0.3617, 0.3434, 0.4919)
O (0.3780, 0.3336, 0.7519)
O (0.8484, 0.2622, 0.3866)
O (0.6664, 0.3780, 0.2481)
O (0.3434, 0.6383, 0.5081)
O (0.1383, 0.8434, 0.0081)
Au (0.5000, 0.5000, 0.5000)
Au (0.0000, 0.0000, 0.0000)
Rb (0.0000, 0.0000, 0.5000)
Rb (0.5000, 0.5000, 0.0000)

Calculated values
Formation enthalpy at 0 K, eV per atom: -0.980
SG: P-42_1c, No. 114
Total magnetic moment, μB per cell: 0.00

Entry 2:
Computed, not measured: KAuC2N2 after structural relaxation at the GGA-PBE level of DFT.

Unit cell a=9.6406 b=9.6406 c=9.6406 alpha=46.31 beta=46.31 gamma=46.31
Fractional coordinates of all 18 atoms:
K (0.3439, 0.3439, 0.3439)
K (0.0000, 0.0000, 0.0000)
K (0.6561, 0.6561, 0.6561)
C (0.4338, 0.8298, 0.0205)
C (0.9795, 0.5662, 0.1702)
C (0.0205, 0.4338, 0.8298)
C (0.8298, 0.0205, 0.4338)
C (0.5662, 0.1702, 0.9795)
C (0.1702, 0.9795, 0.5662)
N (0.0329, 0.3952, 0.7288)
N (0.7288, 0.0329, 0.3952)
N (0.3952, 0.7288, 0.0329)
N (0.2712, 0.9671, 0.6048)
N (0.9671, 0.6048, 0.2712)
N (0.6048, 0.2712, 0.9671)
Au (0.0000, 0.5000, 0.0000)
Au (0.0000, 0.0000, 0.5000)
Au (0.5000, 0.0000, 0.0000)

Calculated values
E above lowest polymorph, meV/atom: 0
Formation enthalpy at 0 K, eV per atom: -0.212
SG: R-3, No. 148
Total magnetic moment, μB per cell: 0.00

Entry 3:
Computed, not measured: KAuC2N2 after structural relaxation at the GGA-PBE level of DFT.

Unit cell a=8.5963 b=8.5963 c=8.5963 alpha=74.30 beta=74.30 gamma=74.30
Fractional coordinates of all 18 atoms:
C (0.4726, 0.5683, 0.9436)
C (0.0564, 0.5274, 0.4317)
C (0.9436, 0.4726, 0.5683)
C (0.5683, 0.9436, 0.4726)
C (0.4317, 0.0564, 0.5274)
C (0.5274, 0.4317, 0.0564)
K (0.0000, 0.0000, 0.0000)
K (0.7737, 0.7737, 0.7737)
K (0.2263, 0.2263, 0.2263)
N (0.6886, 0.8487, 0.4294)
N (0.4294, 0.6886, 0.8487)
N (0.3114, 0.1513, 0.5706)
N (0.5706, 0.3114, 0.1513)
N (0.8487, 0.4294, 0.6886)
N (0.1513, 0.5706, 0.3114)
Au (0.5000, 0.0000, 0.0000)
Au (0.0000, 0.0000, 0.5000)
Au (0.0000, 0.5000, 0.0000)

Calculated values
E above lowest polymorph, meV/atom: 590
Formation enthalpy at 0 K, eV per atom: 0.379
SG: R-3, No. 148
Total magnetic moment, μB per cell: 0.00

Entry 4:
Computed, not measured: AuC2N3 after structural relaxation at the GGA-PBE level of DFT.

Unit cell a=9.0249 b=12.6128 c=6.7477 alpha=90.00 beta=93.86 gamma=45.67
Fractional coordinates of all 24 atoms:
Au (0.0000, 0.6174, 0.2500)
Au (0.0000, 0.1341, 0.7500)
Au (0.0000, 0.3826, 0.7500)
Au (0.0000, 0.8659, 0.2500)
N (0.3304, 0.0940, 0.2787)
N (0.1708, 0.5418, 0.0197)
N (0.3304, 0.5756, 0.7787)
N (0.8276, 0.2305, 0.4899)
N (0.8292, 0.7126, 0.4803)
N (0.6696, 0.4244, 0.2213)
N (0.1724, 0.7695, 0.5101)
N (0.1724, 0.0581, 0.0101)
N (0.8276, 0.9419, 0.9899)
N (0.1708, 0.2874, 0.5197)
N (0.8292, 0.4582, 0.9803)
N (0.6696, 0.9060, 0.7213)
C (0.7598, 0.9184, 0.8612)
C (0.2402, 0.6783, 0.6388)
C (0.7604, 0.8039, 0.5969)
C (0.2396, 0.5643, 0.9031)
C (0.7598, 0.3217, 0.3612)
C (0.2402, 0.0816, 0.1388)
C (0.2396, 0.1961, 0.4031)
C (0.7604, 0.4357, 0.0969)

Calculated values
E above lowest polymorph, meV/atom: 46
Formation enthalpy at 0 K, eV per atom: 0.280
SG: C2/c, No. 15
Total magnetic moment, μB per cell: 0.00

Entry 5:
Computed, not measured: AuC2N3 after structural relaxation at the GGA-PBE level of DFT.

Unit cell a=3.9302 b=3.9302 c=24.4801 alpha=90.00 beta=90.00 gamma=120.00
Fractional coordinates of all 18 atoms:
N (0.4895, 0.4895, 0.5000)
N (0.5105, 0.0000, 0.8333)
N (0.1831, 0.3471, 0.5907)
N (0.8169, 0.1640, 0.7427)
N (0.3471, 0.1831, 0.4093)
N (0.0000, 0.5105, 0.1667)
N (0.8360, 0.6529, 0.0760)
N (0.1640, 0.8169, 0.2573)
N (0.6529, 0.8360, 0.9240)
C (0.6889, 0.0819, 0.7871)
C (0.3930, 0.3111, 0.4538)
C (0.3111, 0.3930, 0.5462)
C (0.6070, 0.9181, 0.8795)
C (0.0819, 0.6889, 0.2129)
C (0.9181, 0.6070, 0.1205)
Au (0.2558, 0.0000, 0.3333)
Au (0.7442, 0.7442, 0.0000)
Au (0.0000, 0.2558, 0.6667)

Calculated values
E above lowest polymorph, meV/atom: 0
Formation enthalpy at 0 K, eV per atom: 0.234
SG: P3_121, No. 152
Total magnetic moment, μB per cell: 0.00

Entry 6:
Computed, not measured: AuC4N4O2 after structural relaxation at the GGA-PBE level of DFT.

Unit cell a=8.9601 b=6.6994 c=6.8207 alpha=75.90 beta=90.00 gamma=90.00
Fractional coordinates of all 22 atoms:
N (0.2321, 0.6296, 0.0933)
N (0.6345, 0.8239, 0.1456)
N (0.7679, 0.3704, 0.9067)
N (0.7321, 0.3704, 0.4067)
N (0.2679, 0.6296, 0.5933)
N (0.1345, 0.1761, 0.3544)
N (0.3655, 0.1761, 0.8544)
N (0.8655, 0.8239, 0.6456)
C (0.6470, 0.2351, 0.4415)
C (0.9157, 0.8869, 0.7765)
C (0.0843, 0.1131, 0.2235)
C (0.3530, 0.7649, 0.5585)
C (0.8530, 0.2351, 0.9415)
C (0.1470, 0.7649, 0.0585)
C (0.5843, 0.8869, 0.2765)
C (0.4157, 0.1131, 0.7235)
Au (0.5000, 0.0000, 0.5000)
Au (0.0000, 0.0000, 0.0000)
O (0.5553, 0.5483, 0.9764)
O (0.0553, 0.4517, 0.5236)
O (0.4447, 0.4517, 0.0236)
O (0.9447, 0.5483, 0.4764)

Calculated values
E above lowest polymorph, meV/atom: 0
Formation enthalpy at 0 K, eV per atom: 0.774
SG: P2_1/c, No. 14
Total magnetic moment, μB per cell: 2.00

Entry 7:
Computed, not measured: AuC4N4O2 after structural relaxation at the GGA-PBE level of DFT.

Unit cell a=8.4060 b=6.5247 c=7.4021 alpha=88.84 beta=90.00 gamma=90.00
Fractional coordinates of all 22 atoms:
N (0.7411, 0.6317, 0.5655)
N (0.3662, 0.7951, 0.1458)
N (0.1338, 0.7951, 0.6458)
N (0.2589, 0.3683, 0.4345)
N (0.2411, 0.3683, 0.9345)
N (0.6338, 0.2049, 0.8542)
N (0.7589, 0.6317, 0.0655)
N (0.8662, 0.2049, 0.3542)
O (0.0663, 0.5970, 0.4150)
O (0.5663, 0.4030, 0.0850)
O (0.4337, 0.5970, 0.9150)
O (0.9337, 0.4030, 0.5850)
Au (0.5000, 0.0000, 0.5000)
Au (0.0000, 0.0000, 0.0000)
C (0.3478, 0.2336, 0.4583)
C (0.0785, 0.8685, 0.7741)
C (0.9215, 0.1315, 0.2259)
C (0.5785, 0.1315, 0.7259)
C (0.8478, 0.7664, 0.0417)
C (0.4215, 0.8685, 0.2741)
C (0.1522, 0.2336, 0.9583)
C (0.6522, 0.7664, 0.5417)

Calculated values
E above lowest polymorph, meV/atom: 292
Formation enthalpy at 0 K, eV per atom: 1.066
SG: P2_1/c, No. 14
Total magnetic moment, μB per cell: 10.00

Entry 8:
Computed, not measured: RbAuC2N2 after structural relaxation at the GGA-PBE level of DFT.

Unit cell a=10.3698 b=10.3698 c=13.8826 alpha=75.14 beta=75.14 gamma=53.49
Fractional coordinates of all 48 atoms:
N (0.7021, 0.9452, 0.8496)
N (0.2979, 0.0548, 0.1504)
N (0.3509, 0.3542, 0.1791)
N (0.1072, 0.2697, 0.3939)
N (0.9452, 0.7021, 0.3496)
N (0.8671, 0.4267, 0.0475)
N (0.1329, 0.5733, 0.9525)
N (0.4267, 0.8671, 0.5475)
N (0.6491, 0.6458, 0.8209)
N (0.0548, 0.2979, 0.6504)
N (0.5733, 0.1329, 0.4525)
N (0.8928, 0.7303, 0.6061)
N (0.2697, 0.1072, 0.8939)
N (0.3542, 0.3509, 0.6791)
N (0.7303, 0.8928, 0.1061)
N (0.6458, 0.6491, 0.3209)
C (0.0229, 0.2250, 0.4047)
C (0.0030, 0.2194, 0.6877)
C (0.9771, 0.7750, 0.5953)
C (0.7806, 0.9970, 0.8123)
C (0.3992, 0.4157, 0.2052)
C (0.5843, 0.6008, 0.2948)
C (0.8606, 0.3145, 0.0582)
C (0.1394, 0.6855, 0.9418)
C (0.2250, 0.0229, 0.9047)
C (0.4157, 0.3992, 0.7052)
C (0.6855, 0.1394, 0.4418)
C (0.2194, 0.0030, 0.1877)
C (0.3145, 0.8606, 0.5582)
C (0.9970, 0.7806, 0.3123)
C (0.7750, 0.9771, 0.0953)
C (0.6008, 0.5843, 0.7948)
Rb (0.4838, 0.0106, 0.3163)
Rb (0.2279, 0.4223, 0.4827)
Rb (0.5777, 0.7721, 0.0173)
Rb (0.9894, 0.5162, 0.1837)
Rb (0.5162, 0.9894, 0.6837)
Rb (0.7721, 0.5777, 0.5173)
Rb (0.0106, 0.4838, 0.8163)
Rb (0.4223, 0.2279, 0.9827)
Au (0.5130, 0.4870, 0.7500)
Au (0.1678, 0.8648, 0.9230)
Au (0.8648, 0.1678, 0.4230)
Au (0.9003, 0.0997, 0.7500)
Au (0.0997, 0.9003, 0.2500)
Au (0.4870, 0.5130, 0.2500)
Au (0.1352, 0.8322, 0.5770)
Au (0.8322, 0.1352, 0.0770)

Calculated values
Formation enthalpy at 0 K, eV per atom: -0.198
SG: C2/c, No. 15
Total magnetic moment, μB per cell: 0.00

Entry 9:
Computed, not measured: RbAuC2S2N2 after structural relaxation at the GGA-PBE level of DFT.

Unit cell a=7.4094 b=7.4094 c=18.0517 alpha=73.22 beta=73.22 gamma=50.39
Fractional coordinates of all 32 atoms:
S (0.6636, 0.2921, 0.3847)
S (0.9950, 0.6395, 0.2708)
S (0.3605, 0.0050, 0.2292)
S (0.3364, 0.7079, 0.6153)
S (0.0050, 0.3605, 0.7292)
S (0.2921, 0.6636, 0.8847)
S (0.7079, 0.3364, 0.1153)
S (0.6395, 0.9950, 0.7708)
C (0.2827, 0.1727, 0.1436)
C (0.4553, 0.5848, 0.0870)
C (0.7173, 0.8273, 0.8564)
C (0.1727, 0.2827, 0.6436)
C (0.8273, 0.7173, 0.3564)
C (0.5447, 0.4152, 0.9130)
C (0.4152, 0.5447, 0.4130)
C (0.5848, 0.4553, 0.5870)
Au (0.1655, 0.8345, 0.2500)
Au (0.8345, 0.1655, 0.7500)
Au (0.3361, 0.6639, 0.7500)
Au (0.6639, 0.3361, 0.2500)
N (0.7199, 0.2398, 0.9358)
N (0.2801, 0.7602, 0.0642)
N (0.7143, 0.7604, 0.4189)
N (0.7602, 0.2801, 0.5642)
N (0.2396, 0.2857, 0.0811)
N (0.7604, 0.7143, 0.9189)
N (0.2398, 0.7199, 0.4358)
N (0.2857, 0.2396, 0.5811)
Rb (0.1621, 0.1909, 0.9395)
Rb (0.8379, 0.8091, 0.0605)
Rb (0.1909, 0.1621, 0.4395)
Rb (0.8091, 0.8379, 0.5605)

Calculated values
Formation enthalpy at 0 K, eV per atom: -0.303
SG: C2/c, No. 15
Total magnetic moment, μB per cell: 0.00

Entry 10:
Computed, not measured: ZnAu2C4N4 after structural relaxation at the GGA-PBE level of DFT.

Unit cell a=8.7761 b=8.7761 c=20.2655 alpha=90.00 beta=90.00 gamma=120.00
Fractional coordinates of all 66 atoms:
C (0.6001, 0.7848, 0.4715)
C (0.1850, 0.7864, 0.2775)
C (0.2152, 0.8153, 0.8048)
C (0.1847, 0.7848, 0.5285)
C (0.8153, 0.2152, 0.5285)
C (0.8150, 0.2136, 0.2775)
C (0.6014, 0.7864, 0.7225)
C (0.7864, 0.6014, 0.6108)
C (0.8150, 0.6014, 0.3892)
C (0.3986, 0.1850, 0.9442)
C (0.2152, 0.3999, 0.8618)
C (0.3999, 0.1847, 0.1952)
C (0.1850, 0.3986, 0.3892)
C (0.6014, 0.8150, 0.9442)
C (0.7848, 0.6001, 0.8618)
C (0.2136, 0.8150, 0.0558)
C (0.3999, 0.2152, 0.4715)
C (0.6001, 0.8153, 0.1952)
C (0.8153, 0.6001, 0.1382)
C (0.1847, 0.3999, 0.1382)
C (0.7848, 0.1847, 0.8048)
C (0.7864, 0.1850, 0.0558)
C (0.2136, 0.3986, 0.6108)
C (0.3986, 0.2136, 0.7225)
N (0.2956, 0.4402, 0.3496)
N (0.1472, 0.7044, 0.7653)
N (0.4402, 0.1446, 0.6829)
N (0.2956, 0.4428, 0.0986)
N (0.8554, 0.2956, 0.0162)
N (0.5572, 0.7044, 0.2347)
N (0.1446, 0.4402, 0.6504)
N (0.7044, 0.5598, 0.3496)
N (0.2956, 0.8554, 0.3171)
N (0.7044, 0.5572, 0.0986)
N (0.4428, 0.1472, 0.4320)
N (0.1446, 0.7044, 0.0162)
N (0.7044, 0.1446, 0.3171)
N (0.8528, 0.2956, 0.7653)
N (0.2956, 0.8528, 0.5680)
N (0.4402, 0.2956, 0.9838)
N (0.5598, 0.7044, 0.9838)
N (0.8528, 0.5572, 0.9014)
N (0.5572, 0.8528, 0.4320)
N (0.1472, 0.4428, 0.9014)
N (0.8554, 0.5598, 0.6504)
N (0.4428, 0.2956, 0.2347)
N (0.5598, 0.8554, 0.6829)
N (0.7044, 0.1472, 0.5680)
Zn (0.0000, 0.5000, 0.9587)
Zn (0.5000, 0.0000, 0.6254)
Zn (0.5000, 0.0000, 0.3746)
Zn (0.5000, 0.5000, 0.2921)
Zn (0.5000, 0.5000, 0.0413)
Zn (0.0000, 0.5000, 0.7079)
Au (0.6820, 0.9976, 0.8737)
Au (0.6820, 0.6844, 0.7930)
Au (0.6844, 0.0024, 0.1263)
Au (0.3180, 0.3156, 0.7930)
Au (0.9976, 0.3156, 0.2070)
Au (0.3180, 0.0024, 0.8737)
Au (0.0024, 0.6844, 0.2070)
Au (0.3156, 0.9976, 0.1263)
Au (0.6844, 0.6820, 0.5403)
Au (0.9976, 0.6820, 0.4597)
Au (0.3156, 0.3180, 0.5403)
Au (0.0024, 0.3180, 0.4597)

Calculated values
E above lowest polymorph, meV/atom: 0
Formation enthalpy at 0 K, eV per atom: 0.107
SG: P6_422, No. 181
Total magnetic moment, μB per cell: 0.01

Repeat the ninth record exactly.
Computed, not measured: RbAuC2S2N2 after structural relaxation at the GGA-PBE level of DFT.

Unit cell a=7.4094 b=7.4094 c=18.0517 alpha=73.22 beta=73.22 gamma=50.39
Fractional coordinates of all 32 atoms:
S (0.6636, 0.2921, 0.3847)
S (0.9950, 0.6395, 0.2708)
S (0.3605, 0.0050, 0.2292)
S (0.3364, 0.7079, 0.6153)
S (0.0050, 0.3605, 0.7292)
S (0.2921, 0.6636, 0.8847)
S (0.7079, 0.3364, 0.1153)
S (0.6395, 0.9950, 0.7708)
C (0.2827, 0.1727, 0.1436)
C (0.4553, 0.5848, 0.0870)
C (0.7173, 0.8273, 0.8564)
C (0.1727, 0.2827, 0.6436)
C (0.8273, 0.7173, 0.3564)
C (0.5447, 0.4152, 0.9130)
C (0.4152, 0.5447, 0.4130)
C (0.5848, 0.4553, 0.5870)
Au (0.1655, 0.8345, 0.2500)
Au (0.8345, 0.1655, 0.7500)
Au (0.3361, 0.6639, 0.7500)
Au (0.6639, 0.3361, 0.2500)
N (0.7199, 0.2398, 0.9358)
N (0.2801, 0.7602, 0.0642)
N (0.7143, 0.7604, 0.4189)
N (0.7602, 0.2801, 0.5642)
N (0.2396, 0.2857, 0.0811)
N (0.7604, 0.7143, 0.9189)
N (0.2398, 0.7199, 0.4358)
N (0.2857, 0.2396, 0.5811)
Rb (0.1621, 0.1909, 0.9395)
Rb (0.8379, 0.8091, 0.0605)
Rb (0.1909, 0.1621, 0.4395)
Rb (0.8091, 0.8379, 0.5605)

Calculated values
Formation enthalpy at 0 K, eV per atom: -0.303
SG: C2/c, No. 15
Total magnetic moment, μB per cell: 0.00